# 1
CsNpO3 | PBE | relaxed

Results
- calculated formation energy (eV/f.u.) = -14.92

Unit cell a=4.391 b=4.391 c=4.391 alpha=90.00 beta=90.00 gamma=90.00
Fractional coordinates of all 5 atoms:
O 0.500 0.000 0.500
O 0.000 0.500 0.500
O 0.500 0.500 0.000
Cs 0.000 0.000 0.000
Np 0.500 0.500 0.500



# 2
Gd2MgNi2 | PBE | relaxed

Results
- calculated formation energy (eV/f.u.) = -1.79

Unit cell a=7.367 b=7.367 c=3.798 alpha=90.00 beta=90.00 gamma=90.00
Fractional coordinates of all 10 atoms:
Gd 0.826 0.674 0.500
Gd 0.174 0.326 0.500
Gd 0.326 0.826 0.500
Gd 0.674 0.174 0.500
Ni 0.120 0.620 0.000
Ni 0.380 0.120 0.000
Ni 0.880 0.380 0.000
Ni 0.620 0.880 0.000
Mg 0.000 0.000 0.000
Mg 0.500 0.500 0.000



# 3
GdAu | PBE | relaxed

Results
- calculated formation energy (eV/f.u.) = -1.66

Unit cell a=3.651 b=3.651 c=3.651 alpha=90.00 beta=90.00 gamma=90.00
Fractional coordinates of all 2 atoms:
Gd 0.000 0.000 0.000
Au 0.500 0.500 0.500



# 4
BiP4O12 | PBE | relaxed

Results
- calculated formation energy (eV/f.u.) = -40.35
- distance to the lowest polymorph of the same formula (kJ per mole of atoms) = 1.0

Unit cell a=13.369 b=7.321 c=12.122 alpha=54.31 beta=90.00 gamma=90.00
Fractional coordinates of all 68 atoms:
P 0.374 0.158 0.197
P 0.626 0.842 0.803
P 0.602 0.506 0.745
P 0.102 0.494 0.755
P 0.408 0.940 0.795
P 0.113 0.392 0.231
P 0.092 0.940 0.295
P 0.613 0.608 0.269
P 0.887 0.608 0.769
P 0.387 0.392 0.731
P 0.398 0.494 0.255
P 0.898 0.506 0.245
P 0.592 0.060 0.205
P 0.126 0.158 0.697
P 0.908 0.060 0.705
P 0.874 0.842 0.303
O 0.630 0.016 0.651
O 0.019 0.142 0.642
O 0.488 0.427 0.787
O 0.355 0.604 0.599
O 0.342 0.856 0.915
O 0.834 0.300 0.297
O 0.145 0.604 0.099
O 0.519 0.858 0.858
O 0.870 0.016 0.151
O 0.512 0.573 0.213
O 0.080 0.212 0.202
O 0.920 0.788 0.798
O 0.390 0.308 0.406
O 0.811 0.708 0.656
O 0.794 0.839 0.389
O 0.855 0.396 0.901
O 0.390 0.873 0.701
O 0.658 0.144 0.085
O 0.623 0.593 0.837
O 0.370 0.984 0.349
O 0.110 0.308 0.906
O 0.334 0.700 0.203
O 0.311 0.292 0.844
O 0.377 0.407 0.163
O 0.689 0.708 0.156
O 0.706 0.839 0.889
O 0.988 0.573 0.713
O 0.890 0.692 0.094
O 0.890 0.127 0.799
O 0.158 0.856 0.415
O 0.189 0.292 0.344
O 0.130 0.984 0.849
O 0.610 0.127 0.299
O 0.420 0.212 0.702
O 0.206 0.161 0.611
O 0.166 0.700 0.703
O 0.294 0.161 0.111
O 0.610 0.692 0.594
O 0.012 0.427 0.287
O 0.481 0.142 0.142
O 0.842 0.144 0.585
O 0.123 0.407 0.663
O 0.877 0.593 0.337
O 0.110 0.873 0.201
O 0.981 0.858 0.358
O 0.666 0.300 0.797
O 0.580 0.788 0.298
O 0.645 0.396 0.401
Bi 0.276 0.961 0.522
Bi 0.224 0.961 0.022
Bi 0.776 0.039 0.978
Bi 0.724 0.039 0.478



# 5
RbGeI3 | PBE | relaxed

Results
- calculated formation energy (eV/f.u.) = -5.11

Unit cell a=5.956 b=5.956 c=5.956 alpha=90.00 beta=90.00 gamma=90.00
Fractional coordinates of all 5 atoms:
Rb 0.500 0.500 0.500
I 0.000 0.500 0.000
I 0.000 0.000 0.500
I 0.500 0.000 0.000
Ge 0.000 0.000 0.000



# 6
InPd3 | PBE | relaxed

Results
- calculated formation energy (eV/f.u.) = -1.74

Unit cell a=4.045 b=4.045 c=4.045 alpha=90.00 beta=90.00 gamma=90.00
Fractional coordinates of all 4 atoms:
Pd 0.500 0.000 0.500
Pd 0.000 0.500 0.500
Pd 0.500 0.500 0.000
In 0.000 0.000 0.000



# 7
Ce2Al2Co15 | PBE | relaxed

Results
- calculated formation energy (eV/f.u.) = -3.19

Unit cell a=6.326 b=6.326 c=6.326 alpha=82.51 beta=82.51 gamma=82.51
Fractional coordinates of all 19 atoms:
Co 0.500 0.000 0.000
Co 0.714 0.000 0.286
Co 0.147 0.649 0.649
Co 0.286 0.000 0.714
Co 0.351 0.853 0.351
Co 0.649 0.649 0.147
Co 0.000 0.714 0.286
Co 0.000 0.500 0.000
Co 0.286 0.714 0.000
Co 0.649 0.147 0.649
Co 0.351 0.351 0.853
Co 0.853 0.351 0.351
Co 0.000 0.000 0.500
Co 0.714 0.286 0.000
Co 0.000 0.286 0.714
Al 0.894 0.894 0.894
Al 0.106 0.106 0.106
Ce 0.354 0.354 0.354
Ce 0.646 0.646 0.646



# 8
Hg4OF6 | PBE | relaxed

Results
- calculated formation energy (eV/f.u.) = -16.73

Unit cell a=7.927 b=7.927 c=6.168 alpha=90.00 beta=90.00 gamma=120.00
Fractional coordinates of all 22 atoms:
Hg 0.333 0.667 0.976
Hg 0.182 0.818 0.500
Hg 0.635 0.818 0.500
Hg 0.365 0.182 0.000
Hg 0.667 0.333 0.476
Hg 0.818 0.182 0.000
Hg 0.818 0.635 0.000
Hg 0.182 0.365 0.500
F 0.873 0.127 0.396
F 0.255 0.127 0.396
F 0.127 0.255 0.896
F 0.460 0.540 0.227
F 0.540 0.080 0.727
F 0.873 0.745 0.396
F 0.127 0.873 0.896
F 0.460 0.920 0.227
F 0.080 0.540 0.227
F 0.540 0.460 0.727
F 0.920 0.460 0.727
F 0.745 0.873 0.896
O 0.667 0.333 0.128
O 0.333 0.667 0.628



# 9
VN | PBE | relaxed

Results
- calculated formation energy (eV/f.u.) = -2.33

Unit cell a=2.878 b=2.878 c=4.245 alpha=89.99 beta=90.00 gamma=90.00
Fractional coordinates of all 4 atoms:
V 0.750 0.250 0.218
V 0.250 0.750 0.782
N 0.250 0.750 0.266
N 0.750 0.250 0.734



# 10
LaI3O9 | PBE | relaxed

Results
- calculated formation energy (eV/f.u.) = -8.95
- distance to the lowest polymorph of the same formula (kJ per mole of atoms) = 77.8

Unit cell a=6.920 b=7.510 c=8.588 alpha=90.00 beta=90.00 gamma=90.00
Fractional coordinates of all 26 atoms:
I 0.500 0.500 0.355
I 0.000 0.231 0.196
I 0.000 0.769 0.196
I 0.000 0.000 0.645
I 0.500 0.269 0.804
I 0.500 0.731 0.804
O 0.783 0.824 0.463
O 0.818 0.000 0.174
O 0.500 0.304 0.221
O 0.000 0.196 0.779
O 0.217 0.824 0.463
O 0.500 0.696 0.221
O 0.717 0.676 0.537
O 0.783 0.176 0.463
O 0.283 0.324 0.537
O 0.717 0.324 0.537
O 0.000 0.500 0.300
O 0.500 0.000 0.700
O 0.000 0.804 0.779
O 0.682 0.500 0.826
O 0.217 0.176 0.463
O 0.182 0.000 0.174
O 0.318 0.500 0.826
O 0.283 0.676 0.537
La 0.000 0.500 0.653
La 0.500 0.000 0.347



# 11
ThN4F8 | PBE | relaxed

Results
- calculated formation energy (eV/f.u.) = -23.00
- distance to the lowest polymorph of the same formula (kJ per mole of atoms) = 0.0

Unit cell a=7.395 b=8.732 c=9.399 alpha=106.57 beta=93.90 gamma=97.83
Fractional coordinates of all 26 atoms:
Th 0.236 0.955 0.910
Th 0.764 0.045 0.090
F 0.642 0.363 0.510
F 0.902 0.920 0.880
F 0.467 0.891 0.062
F 0.781 0.971 0.284
F 0.555 0.795 0.672
F 0.250 0.428 0.054
F 0.533 0.109 0.938
F 0.219 0.029 0.716
F 0.160 0.651 0.175
F 0.445 0.205 0.328
F 0.195 0.702 0.814
F 0.750 0.572 0.946
F 0.358 0.637 0.490
F 0.098 0.080 0.120
F 0.840 0.349 0.825
F 0.805 0.298 0.186
N 0.838 0.683 0.411
N 0.163 0.494 0.178
N 0.455 0.791 0.539
N 0.717 0.632 0.324
N 0.545 0.209 0.461
N 0.283 0.368 0.676
N 0.162 0.317 0.589
N 0.837 0.506 0.822



# 12
Ba2SrI6 | PBE | relaxed

Results
- calculated formation energy (eV/f.u.) = -18.04
- distance to the lowest polymorph of the same formula (kJ per mole of atoms) = 0.3

Unit cell a=8.315 b=8.585 c=25.244 alpha=86.52 beta=90.00 gamma=90.00
Fractional coordinates of all 36 atoms:
I 0.788 0.639 0.021
I 0.262 0.588 0.142
I 0.738 0.412 0.858
I 0.786 0.924 0.339
I 0.301 0.865 0.985
I 0.712 0.639 0.521
I 0.754 0.539 0.685
I 0.712 0.029 0.672
I 0.699 0.135 0.015
I 0.788 0.029 0.172
I 0.246 0.461 0.315
I 0.288 0.971 0.328
I 0.214 0.076 0.661
I 0.801 0.135 0.515
I 0.199 0.865 0.485
I 0.212 0.971 0.828
I 0.714 0.924 0.839
I 0.286 0.076 0.161
I 0.212 0.361 0.979
I 0.254 0.461 0.815
I 0.238 0.588 0.642
I 0.762 0.412 0.358
I 0.746 0.539 0.185
I 0.288 0.361 0.479
Ba 0.479 0.669 0.408
Ba 0.052 0.769 0.240
Ba 0.979 0.331 0.092
Ba 0.021 0.669 0.908
Ba 0.552 0.231 0.260
Ba 0.448 0.769 0.740
Ba 0.521 0.331 0.592
Ba 0.948 0.231 0.760
Sr 0.035 0.158 0.410
Sr 0.535 0.842 0.090
Sr 0.965 0.842 0.590
Sr 0.465 0.158 0.910



How do the records compare in total DFT energy (no corrections)? In the order shown, they have -41.55 -86.21 -19.01 -468.11 -14.15 -20.03 -129.17 -61.84 -38.79 -123.08 -150.76 -121.75 eV per cell.